1.
The following is a DFT calculation (PBE) of crystalline Sb3P4O16 at its relaxed geometry.

Calculated values
Symmetry: No. 1
Density: 3.6 Mg/m³
Formation enthalpy at 0 K: -2.185 eV/atom

a = 8.532 Å, b = 9.210 Å, c = 13.145 Å
α = 92.24°, β = 90.43°, γ = 90.13°
Sites, in units of the cell vectors:
P1 0.817 0.129 0.940
P2 0.701 0.650 0.951
P3 0.176 0.528 0.714
P4 0.816 0.794 0.616
P5 0.291 0.370 0.070
P6 0.704 0.982 0.255
P7 0.798 0.495 0.272
P8 0.295 0.676 0.384
P9 0.289 0.022 0.745
P10 0.205 0.195 0.405
P11 0.711 0.314 0.591
P12 0.193 0.847 0.062
O1 0.186 0.830 0.940
O2 0.709 0.322 0.715
O3 0.702 0.034 0.369
O4 0.407 0.595 0.445
O5 0.092 0.092 0.464
O6 0.612 0.522 0.242
O7 0.127 0.352 0.117
O8 0.271 0.348 0.952
O9 0.714 0.472 0.949
O10 0.589 0.704 0.877
O11 0.084 0.752 0.114
O12 0.866 0.168 0.054
O13 0.870 0.973 0.915
O14 0.302 0.998 0.622
O15 0.837 0.812 0.734
O16 0.615 0.832 0.251
O17 0.374 0.522 0.084
O18 0.912 0.232 0.871
O19 0.123 0.347 0.409
O20 0.806 0.325 0.243
O21 0.167 0.019 0.081
O22 0.314 0.667 0.265
O23 0.415 0.947 0.799
O24 0.167 0.513 0.596
O25 0.294 0.852 0.407
O26 0.809 0.500 0.394
O27 0.345 0.498 0.749
O28 0.594 0.409 0.547
O29 0.607 0.085 0.189
O30 0.396 0.252 0.116
O31 0.648 0.823 0.584
O32 0.909 0.592 0.224
O33 0.289 0.193 0.756
O34 0.109 0.650 0.412
O35 0.109 0.981 0.764
O36 0.377 0.828 0.088
O37 0.372 0.191 0.444
O38 0.691 0.145 0.574
O39 0.893 0.341 0.566
O40 0.641 0.154 0.939
O41 0.072 0.411 0.762
O42 0.877 0.974 0.221
O43 0.125 0.684 0.749
O44 0.881 0.641 0.584
O45 0.887 0.679 0.924
O46 0.674 0.689 0.067
O47 0.914 0.915 0.562
O48 0.205 0.141 0.290
Sb1 0.039 0.147 0.174
Sb2 0.641 0.274 0.118
Sb3 0.993 0.496 0.487
Sb4 0.552 0.010 0.490
Sb5 0.493 0.680 0.167
Sb6 0.144 0.905 0.525
Sb7 0.006 0.827 0.843
Sb8 0.430 0.331 0.835
Sb9 0.851 0.423 0.817

***

2.
The following is a DFT calculation (PBE) of crystalline SbP2O7 at its relaxed geometry.

Calculated values
Symmetry: No. 4
Density: 3.3 Mg/m³
Formation enthalpy at 0 K: -2.353 eV/atom

a = 8.515 Å, b = 5.058 Å, c = 7.212 Å
α = 71.62°, β = 90.00°, γ = 90.00°
Sites, in units of the cell vectors:
P1 0.776 0.220 0.907
P2 0.276 0.780 0.093
P3 0.869 0.602 0.523
P4 0.369 0.398 0.477
O1 0.004 0.813 0.486
O2 0.371 0.873 0.903
O3 0.736 0.960 0.849
O4 0.397 0.589 0.254
O5 0.873 0.414 0.392
O6 0.631 0.394 0.917
O7 0.704 0.731 0.508
O8 0.897 0.411 0.746
O9 0.504 0.187 0.514
O10 0.131 0.606 0.083
O11 0.236 0.040 0.151
O12 0.871 0.127 0.097
O13 0.204 0.269 0.492
O14 0.373 0.586 0.608
Sb1 0.050 0.211 0.278
Sb2 0.550 0.789 0.722

***

3.
The following is a DFT calculation (PBE) of crystalline SbP5O15 at its relaxed geometry.

Calculated values
Symmetry: No. 14
Density: 2.7 Mg/m³
Formation enthalpy at 0 K: -2.295 eV/atom

a = 14.050 Å, b = 9.428 Å, c = 10.455 Å
α = 65.82°, β = 90.00°, γ = 90.00°
Sites, in units of the cell vectors:
O1 0.836 0.124 0.407
O2 0.987 0.281 0.877
O3 0.513 0.281 0.377
O4 0.664 0.124 0.907
O5 0.123 0.503 0.859
O6 0.877 0.497 0.141
O7 0.164 0.876 0.593
O8 0.649 0.307 0.529
O9 0.336 0.876 0.093
O10 0.545 0.062 0.119
O11 0.754 0.890 0.897
O12 0.847 0.306 0.524
O13 0.877 0.493 0.641
O14 0.748 0.926 0.132
O15 0.039 0.933 0.879
O16 0.746 0.890 0.397
O17 0.578 0.574 0.382
O18 0.248 0.074 0.368
O19 0.987 0.278 0.379
O20 0.922 0.571 0.382
O21 0.750 0.546 0.959
O22 0.161 0.877 0.087
O23 0.955 0.062 0.619
O24 0.013 0.722 0.621
O25 0.750 0.546 0.459
O26 0.246 0.110 0.103
O27 0.653 0.306 0.024
O28 0.922 0.574 0.882
O29 0.078 0.426 0.118
O30 0.578 0.571 0.882
O31 0.851 0.307 0.029
O32 0.123 0.507 0.359
O33 0.961 0.067 0.121
O34 0.149 0.693 0.971
O35 0.513 0.278 0.879
O36 0.623 0.493 0.141
O37 0.078 0.429 0.618
O38 0.487 0.719 0.623
O39 0.013 0.719 0.123
O40 0.461 0.933 0.379
O41 0.153 0.694 0.476
O42 0.539 0.067 0.621
O43 0.377 0.503 0.359
O44 0.045 0.938 0.381
O45 0.351 0.693 0.471
O46 0.487 0.722 0.121
O47 0.339 0.877 0.587
O48 0.455 0.938 0.881
O49 0.623 0.497 0.641
O50 0.252 0.074 0.868
O51 0.422 0.426 0.618
O52 0.347 0.694 0.976
O53 0.839 0.123 0.913
O54 0.422 0.429 0.118
O55 0.254 0.110 0.603
O56 0.250 0.454 0.041
O57 0.752 0.926 0.632
O58 0.250 0.454 0.541
O59 0.377 0.507 0.859
O60 0.661 0.123 0.413
P1 0.249 0.014 0.022
P2 0.856 0.481 0.004
P3 0.414 0.825 0.506
P4 0.646 0.478 0.003
P5 0.089 0.827 0.509
P6 0.854 0.478 0.503
P7 0.411 0.827 0.009
P8 0.356 0.519 0.496
P9 0.749 0.986 0.478
P10 0.751 0.986 0.978
P11 0.144 0.519 0.996
P12 0.914 0.175 0.994
P13 0.251 0.014 0.522
P14 0.586 0.175 0.494
P15 0.146 0.522 0.497
P16 0.354 0.522 0.997
P17 0.911 0.173 0.491
P18 0.086 0.825 0.006
P19 0.644 0.481 0.504
P20 0.589 0.173 0.991
Sb1 0.500 0.499 0.751
Sb2 0.000 0.499 0.251
Sb3 0.000 0.501 0.749
Sb4 0.500 0.501 0.249

***

4.
The following is a DFT calculation (PBE) of crystalline Sb9PO25 at its relaxed geometry.

Calculated values
Symmetry: No. 82
Density: 5.4 Mg/m³
Formation enthalpy at 0 K: -1.769 eV/atom

a = 11.114 Å, b = 11.114 Å, c = 11.114 Å
α = 91.82°, β = 91.82°, γ = 159.47°
Sites, in units of the cell vectors:
Sb1 0.100 0.307 0.448
Sb2 0.347 0.900 0.207
Sb3 0.913 0.239 0.118
Sb4 0.000 0.000 0.000
Sb5 0.693 0.141 0.793
Sb6 0.205 0.087 0.326
Sb7 0.859 0.653 0.552
Sb8 0.761 0.879 0.674
Sb9 0.121 0.795 0.882
O1 0.332 0.128 0.504
O2 0.783 0.749 0.585
O3 0.742 0.591 0.370
O4 0.409 0.778 0.151
O5 0.920 0.099 0.027
O6 0.251 0.836 0.034
O7 0.710 0.991 0.749
O8 0.164 0.198 0.415
O9 0.038 0.290 0.281
O10 0.171 0.668 0.796
O11 0.627 0.258 0.849
O12 0.901 0.927 0.820
O13 0.802 0.217 0.966
O14 0.500 0.500 0.000
O15 0.222 0.373 0.630
O16 0.578 0.091 0.616
O17 0.073 0.893 0.973
O18 0.107 0.080 0.180
O19 0.243 0.962 0.251
O20 0.872 0.375 0.204
O21 0.909 0.525 0.487
O22 0.038 0.422 0.513
O23 0.625 0.829 0.496
O24 0.009 0.757 0.719
O25 0.475 0.962 0.384
P1 0.750 0.250 0.500

***

5.
The following is a DFT calculation (PBE) of crystalline Sb2P5O16 at its relaxed geometry.

Calculated values
Symmetry: No. 7
Density: 2.7 Mg/m³
Formation enthalpy at 0 K: -2.389 eV/atom

a = 10.444 Å, b = 7.565 Å, c = 10.702 Å
α = 69.24°, β = 90.00°, γ = 90.00°
Sites, in units of the cell vectors:
O1 0.011 0.628 0.915
O2 0.484 0.317 0.468
O3 0.235 0.135 0.884
O4 0.225 0.488 0.017
O5 0.267 0.138 0.521
O6 0.924 0.257 0.187
O7 0.541 0.029 0.179
O8 0.781 0.790 0.306
O9 0.334 0.511 0.556
O10 0.693 0.768 0.572
O11 0.435 0.460 0.135
O12 0.993 0.219 0.425
O13 0.768 0.467 0.760
O14 0.565 0.460 0.635
O15 0.733 0.138 0.021
O16 0.775 0.488 0.517
O17 0.666 0.511 0.056
O18 0.516 0.317 0.968
O19 0.076 0.257 0.687
O20 0.007 0.219 0.925
O21 0.478 0.666 0.892
O22 0.459 0.002 0.447
O23 0.165 0.475 0.796
O24 0.219 0.790 0.806
O25 0.765 0.135 0.384
O26 0.307 0.768 0.072
O27 0.522 0.666 0.392
O28 0.459 0.029 0.679
O29 0.835 0.475 0.296
O30 0.541 0.002 0.947
O31 0.989 0.628 0.415
O32 0.232 0.467 0.260
P1 0.533 0.502 0.009
P2 0.117 0.258 0.824
P3 0.883 0.258 0.324
P4 0.852 0.607 0.382
P5 0.588 0.114 0.033
P6 0.295 0.552 0.128
P7 0.705 0.552 0.628
P8 0.412 0.114 0.533
P9 0.467 0.502 0.509
P10 0.148 0.607 0.882
Sb1 0.141 0.378 0.482
Sb2 0.371 0.922 0.872
Sb3 0.859 0.378 0.982
Sb4 0.629 0.922 0.372

***

6.
The following is a DFT calculation (PBE) of crystalline Ta3SbP6O24 at its relaxed geometry.

Calculated values
Symmetry: No. 146
Density: 4.0 Mg/m³
Formation enthalpy at 0 K: -2.867 eV/atom

a = 9.121 Å, b = 9.121 Å, c = 9.121 Å
α = 58.31°, β = 58.31°, γ = 58.31°
Sites, in units of the cell vectors:
P1 0.462 0.767 0.023
P2 0.958 0.538 0.253
P3 0.767 0.023 0.462
P4 0.253 0.958 0.538
P5 0.538 0.253 0.958
P6 0.023 0.462 0.767
O1 0.607 0.200 0.444
O2 0.043 0.289 0.943
O3 0.289 0.943 0.043
O4 0.900 0.710 0.092
O5 0.974 0.624 0.815
O6 0.556 0.431 0.787
O7 0.857 0.494 0.729
O8 0.200 0.444 0.607
O9 0.360 0.231 0.997
O10 0.231 0.997 0.360
O11 0.624 0.815 0.974
O12 0.787 0.556 0.431
O13 0.494 0.729 0.857
O14 0.710 0.092 0.900
O15 0.431 0.787 0.556
O16 0.997 0.360 0.231
O17 0.120 0.537 0.258
O18 0.943 0.043 0.289
O19 0.092 0.900 0.710
O20 0.537 0.258 0.120
O21 0.444 0.607 0.200
O22 0.258 0.120 0.537
O23 0.815 0.974 0.624
O24 0.729 0.857 0.494
Sb1 0.361 0.361 0.361
Ta1 0.143 0.143 0.143
Ta2 0.642 0.642 0.642
Ta3 0.857 0.857 0.857

***

7.
The following is a DFT calculation (PBE) of crystalline TiSbP3O12 at its relaxed geometry.

Calculated values
Symmetry: No. 161
Density: 3.2 Mg/m³
Formation enthalpy at 0 K: -2.679 eV/atom

a = 8.825 Å, b = 8.825 Å, c = 8.825 Å
α = 58.60°, β = 58.60°, γ = 58.60°
Sites, in units of the cell vectors:
O1 0.772 0.017 0.637
O2 0.209 0.001 0.367
O3 0.017 0.637 0.772
O4 0.272 0.137 0.517
O5 0.517 0.272 0.137
O6 0.501 0.709 0.867
O7 0.367 0.209 0.001
O8 0.709 0.867 0.501
O9 0.001 0.367 0.209
O10 0.947 0.721 0.072
O11 0.918 0.063 0.287
O12 0.063 0.287 0.918
O13 0.137 0.517 0.272
O14 0.072 0.947 0.721
O15 0.637 0.772 0.017
O16 0.447 0.572 0.221
O17 0.563 0.418 0.787
O18 0.418 0.787 0.563
O19 0.287 0.918 0.063
O20 0.572 0.221 0.447
O21 0.867 0.501 0.709
O22 0.787 0.563 0.418
O23 0.221 0.447 0.572
O24 0.721 0.072 0.947
P1 0.965 0.535 0.245
P2 0.245 0.965 0.535
P3 0.465 0.745 0.035
P4 0.535 0.245 0.965
P5 0.745 0.035 0.465
P6 0.035 0.465 0.745
Ti1 0.138 0.138 0.138
Ti2 0.638 0.638 0.638
Sb1 0.857 0.857 0.857
Sb2 0.357 0.357 0.357

***

8.
The following is a DFT calculation (PBE) of crystalline TiSb3P6O24 at its relaxed geometry.

Calculated values
Symmetry: No. 146
Density: 3.3 Mg/m³
Formation enthalpy at 0 K: -2.486 eV/atom

a = 8.956 Å, b = 8.956 Å, c = 8.956 Å
α = 58.25°, β = 58.25°, γ = 58.25°
Sites, in units of the cell vectors:
O1 0.986 0.367 0.228
O2 0.481 0.723 0.873
O3 0.064 0.282 0.919
O4 0.367 0.228 0.986
O5 0.002 0.635 0.781
O6 0.282 0.919 0.064
O7 0.783 0.561 0.422
O8 0.422 0.783 0.561
O9 0.919 0.064 0.282
O10 0.781 0.002 0.635
O11 0.936 0.714 0.076
O12 0.873 0.481 0.723
O13 0.714 0.076 0.936
O14 0.076 0.936 0.714
O15 0.275 0.133 0.515
O16 0.133 0.515 0.275
O17 0.561 0.422 0.783
O18 0.219 0.443 0.575
O19 0.515 0.275 0.133
O20 0.635 0.781 0.002
O21 0.228 0.986 0.367
O22 0.443 0.575 0.219
O23 0.575 0.219 0.443
O24 0.723 0.873 0.481
P1 0.466 0.750 0.038
P2 0.038 0.466 0.750
P3 0.750 0.038 0.466
P4 0.540 0.248 0.961
P5 0.961 0.540 0.248
P6 0.248 0.961 0.540
Sb1 0.143 0.143 0.143
Sb2 0.357 0.357 0.357
Sb3 0.644 0.644 0.644
Ti1 0.859 0.859 0.859

***

no.,total DFT energy (no corrections) (eV per atom)
1,-6.6296
2,-6.8314
3,-6.8244
4,-6.0294
5,-6.8892
6,-7.9980
7,-7.3492
8,-7.0452